Version i
# meta-GGA r2SCAN KO2, relaxed
data_KO2
_chemical_formula_sum 'K4 O8'
_cell_length_a 9.4808
_cell_length_b 4.0711
_cell_length_c 7.5073
_cell_angle_alpha 90.00
_cell_angle_beta 127.91
_cell_angle_gamma 90.00
_symmetry_space_group_name_H-M 'C 1 2/c 1'
_symmetry_Int_Tables_number 15
_symmetry_space_group_name_Hall '-C 2yc'
loop_
_atom_site_label
_atom_site_type_symbol
_atom_site_fract_x
_atom_site_fract_y
_atom_site_fract_z
K1 K 0.2500 0.2500 0.0000
O1 O 0.0497 0.1365 0.5496
# Total moment (μB/cell): 4.00

---

Version ii
# meta-GGA r2SCAN KO2, relaxed
data_KO2
_chemical_formula_sum 'K4 O8'
_cell_length_a 4.3004
_cell_length_b 5.4817
_cell_length_c 8.7579
_cell_angle_alpha 90.00
_cell_angle_beta 101.76
_cell_angle_gamma 90.00
_symmetry_space_group_name_H-M 'P 1 21/c 1'
_symmetry_Int_Tables_number 14
_symmetry_space_group_name_Hall '-P 2ybc'
loop_
_atom_site_label
_atom_site_type_symbol
_atom_site_fract_x
_atom_site_fract_y
_atom_site_fract_z
K1 K 0.2439 0.2324 0.1244
O1 O 0.1535 0.7339 0.1725
O2 O 0.3643 0.7316 0.0780
# Total moment (μB/cell): 4.00

---

Here are the energies relative to the best structure, in meV per atom: version i 53; version ii 0.